Entry 1:
Entry from Materials Project: a relaxed MgGa4P6H6O18 crystal (GGA-PBE).

a b c (Å): 8.6696 8.6696 7.4836
angles (deg): 90.00 90.00 120.00
Closest atoms and distances in Å follow each position.
Space group P-6 (No. 174)
Unique sites:
Mg 0.0000 0.0000 0.0000 [1 per cell]  6 O 2.04
Ga 0.0000 0.0000 0.3471 [2 per cell]  3 O 2.12, 1 Ga 2.29
Ga 0.6667 0.3333 0.2111 [2 per cell]  3 O 1.90
P 0.3063 0.0256 0.0000 [3 per cell]  1 H 1.40, 3 O 1.54-1.55
P 0.4336 0.4070 0.5000 [3 per cell]  1 H 1.41, 3 O 1.53-1.55
H 0.1062 0.4611 0.0000 [3 per cell]  1 P 1.40
H 0.1461 0.5893 0.5000 [3 per cell]  1 P 1.41
O 0.0034 0.1890 0.1645 [6 per cell]  1 P 1.55
O 0.2518 0.2376 0.5000 [3 per cell]  1 P 1.53
O 0.4753 0.2109 0.0000 [3 per cell]  1 P 1.54
O 0.5412 0.4325 0.3260 [6 per cell]  1 P 1.55

Output
The energy is -210.4 eV/cell. Its volume is 13.918 A^3/atom. The value obtained for the formation energy from the elements is -1.920 eV/atom. The calculation puts the distance to the lowest polymorph of the same formula at 86 meV per atom.

Entry 2:
Entry from Materials Project: a relaxed CeZnNi4 crystal (GGA-PBE).

a b c (Å): 5.0054 5.0054 3.9169
angles (deg): 90.00 90.00 120.00
Closest atoms and distances in Å follow each position.
Space group P-6m2 (No. 187)
Unique sites:
Ce 0.0000 0.0000 0.0000 [1 per cell]  3 Zn 2.89, 15 Ni 2.89-3.18
Zn 0.3333 0.6667 0.0000 [1 per cell]  6 Ni 2.45
Ni 0.5023 0.0045 0.5000 [3 per cell]  6 Ni 2.42-2.54, 2 Zn 2.45
Ni 0.6667 0.3333 0.0000 [1 per cell]  6 Ni 2.42

Output
The energy is -32.3 eV/cell. Its volume is 14.164 A^3/atom. The value obtained for the formation energy from the elements is -0.336 eV/atom.

Entry 3:
Entry from Materials Project: a relaxed BaYF5 crystal (GGA-PBE).

a b c (Å): 7.6850 7.6838 8.0776
angles (deg): 90.00 91.28 90.00
Closest atoms and distances in Å follow each position.
Space group P2_1 (No. 4)
Unique sites:
Ba 0.1414 0.0000 0.0347 [2 per cell]  8 F 2.65-2.80
Ba 0.3310 0.4992 0.2354 [2 per cell]  7 F 2.58-2.82
Y 0.2179 0.9956 0.5188 [2 per cell]  7 F 2.19-2.39
Y 0.3092 0.4962 0.7586 [2 per cell]  7 F 2.19-2.38
F 0.0245 0.9976 0.7165 [2 per cell]  1 Y 2.21
F 0.0560 0.5009 0.6253 [2 per cell]  2 Y 2.20-2.38
F 0.1774 0.6651 0.9571 [2 per cell]  1 Y 2.31, 1 F 2.55
F 0.1781 0.3337 0.9576 [2 per cell]  1 Y 2.29, 1 F 2.55
F 0.2359 0.8095 0.3145 [2 per cell]  1 Y 2.19
F 0.2424 0.1871 0.3190 [2 per cell]  1 Y 2.19
F 0.3388 0.7876 0.6859 [2 per cell]  2 Y 2.28-2.33
F 0.3428 0.1952 0.6949 [2 per cell]  2 Y 2.29-2.38
F 0.4781 0.4898 0.5386 [2 per cell]  2 Y 2.22-2.39
F 0.4857 0.9985 0.0484 [2 per cell]  1 Y 2.19

Output
The energy is -183.3 eV/cell. Its volume is 17.031 A^3/atom. The value obtained for the formation energy from the elements is -4.309 eV/atom. The calculation puts the distance to the lowest polymorph of the same formula at 32 meV per atom.

Entry 4:
Entry from Materials Project: a relaxed SrLaBr5 crystal (GGA-PBE).

a b c (Å): 7.9644 4.4117 13.9659
angles (deg): 90.00 93.31 90.00
Closest atoms and distances in Å follow each position.
Space group P2_1/m (No. 11)
Unique sites:
Sr 0.0430 0.2500 0.3531 [2 per cell]  6 Br 3.03-3.34
La 0.4504 0.7500 0.1602 [2 per cell]  8 Br 3.06-3.19
Br 0.1741 0.2500 0.1216 [2 per cell]  2 La 3.14, 1 Br 3.39, 1 Sr 3.46
Br 0.1831 0.2500 0.7392 [2 per cell]  2 Sr 3.08, 1 La 3.17
Br 0.1969 0.7500 0.4782 [2 per cell]  3 Sr 3.03-3.12
Br 0.3513 0.7500 0.9354 [2 per cell]  3 La 3.06-3.19
Br 0.4534 0.2500 0.3146 [2 per cell]  2 La 3.08, 1 Sr 3.34, 1 Br 3.39

Output
The energy is -57.9 eV/cell. Its volume is 34.993 A^3/atom. The value obtained for the formation energy from the elements is -2.405 eV/atom. The calculation puts the distance to the lowest polymorph of the same formula at 10 meV per atom.